[1]
# Te2MoW3Se2S4, optimized geometry, DFT PBE
data_Te2MoW3Se2S4
_space_group_name_H-M_alt 'P 3 m 1'
_space_group_IT_number 156
_cell_length_a 3.3042
_cell_length_b 3.3042
_cell_length_c 37.6146
_cell_angle_alpha 90.00
_cell_angle_beta 90.00
_cell_angle_gamma 120.00
loop_
_space_group_symop_operation_xyz
'x,y,z'
'-y,x-y,z'
'-x+y,-x,z'
'-y,-x,z'
'-x+y,y,z'
'x,x-y,z'
loop_
_atom_site_label
_atom_site_type_symbol
_atom_site_fract_x
_atom_site_fract_y
_atom_site_fract_z
Te1 Te 0.0000 0.0000 0.0000
Te2 Te 0.0000 0.0000 0.1016
Mo1 Mo 0.6667 0.3333 0.0508
W1 W 0.0000 0.0000 0.2387
W2 W 0.0000 0.0000 0.6144
W3 W 0.6667 0.3333 0.4265
Se1 Se 0.6667 0.3333 0.5696
Se2 Se 0.6667 0.3333 0.6593
S1 S 0.0000 0.0000 0.3858
S2 S 0.0000 0.0000 0.4673
S3 S 0.6667 0.3333 0.1979
S4 S 0.6667 0.3333 0.2795
# excess energy over the best structure of this formula in the dataset: 1.0 meV per atom
# E_tot: -86.30 eV for the cell shown
# formation energy: -0.731 eV per atom

[2]
# Te2MoW3Se2S4, optimized geometry, DFT PBE
data_Te2MoW3Se2S4
_space_group_name_H-M_alt 'P 3 m 1'
_space_group_IT_number 156
_cell_length_a 3.3072
_cell_length_b 3.3072
_cell_length_c 37.6604
_cell_angle_alpha 90.00
_cell_angle_beta 90.00
_cell_angle_gamma 120.00
loop_
_space_group_symop_operation_xyz
'x,y,z'
'-y,x-y,z'
'-x+y,-x,z'
'-y,-x,z'
'-x+y,y,z'
'x,x-y,z'
loop_
_atom_site_label
_atom_site_type_symbol
_atom_site_fract_x
_atom_site_fract_y
_atom_site_fract_z
Te1 Te 0.0000 0.0000 0.0000
Te2 Te 0.0000 0.0000 0.1022
Mo1 Mo 0.3333 0.6667 0.6753
W1 W 0.0000 0.0000 0.4874
W2 W 0.0000 0.0000 0.8632
W3 W 0.3333 0.6667 0.0511
Se1 Se 0.0000 0.0000 0.6307
Se2 Se 0.0000 0.0000 0.7200
S1 S 0.3333 0.6667 0.4467
S2 S 0.3333 0.6667 0.5282
S3 S 0.3333 0.6667 0.8225
S4 S 0.3333 0.6667 0.9039
# excess energy over the best structure of this formula in the dataset: 22.1 meV per atom
# E_tot: -86.05 eV for the cell shown
# formation energy: -0.710 eV per atom

[3]
# TeMoWSe2S, optimized geometry, DFT PBE
data_TeMoWSe2S
_space_group_name_H-M_alt 'P 3 m 1'
_space_group_IT_number 156
_cell_length_a 3.3462
_cell_length_b 3.3462
_cell_length_c 38.0876
_cell_angle_alpha 90.00
_cell_angle_beta 90.00
_cell_angle_gamma 120.00
loop_
_space_group_symop_operation_xyz
'x,y,z'
'-y,x-y,z'
'-x+y,-x,z'
'-y,-x,z'
'-x+y,y,z'
'x,x-y,z'
loop_
_atom_site_label
_atom_site_type_symbol
_atom_site_fract_x
_atom_site_fract_y
_atom_site_fract_z
Te1 Te 0.0000 0.0000 0.0000
Te2 Te 0.0000 0.0000 0.1001
Mo1 Mo 0.0000 0.0000 0.8621
Mo2 Mo 0.3333 0.6667 0.6743
W1 W 0.0000 0.0000 0.4864
W2 W 0.3333 0.6667 0.0501
Se1 Se 0.3333 0.6667 0.4424
Se2 Se 0.3333 0.6667 0.5304
Se3 Se 0.3333 0.6667 0.8183
Se4 Se 0.3333 0.6667 0.9059
S1 S 0.0000 0.0000 0.6345
S2 S 0.0000 0.0000 0.7141
# excess energy over the best structure of this formula in the dataset: 37.2 meV per atom
# E_tot: -82.19 eV for the cell shown
# formation energy: -0.587 eV per atom

[4]
# Te2Mo3WSe2S4, optimized geometry, DFT PBE
data_Te2Mo3WSe2S4
_space_group_name_H-M_alt 'P 3 m 1'
_space_group_IT_number 156
_cell_length_a 3.3105
_cell_length_b 3.3105
_cell_length_c 37.2684
_cell_angle_alpha 90.00
_cell_angle_beta 90.00
_cell_angle_gamma 120.00
loop_
_space_group_symop_operation_xyz
'x,y,z'
'-y,x-y,z'
'-x+y,-x,z'
'-y,-x,z'
'-x+y,y,z'
'x,x-y,z'
loop_
_atom_site_label
_atom_site_type_symbol
_atom_site_fract_x
_atom_site_fract_y
_atom_site_fract_z
Te1 Te 0.0000 0.0000 0.0000
Te2 Te 0.0000 0.0000 0.1026
Mo1 Mo 0.0000 0.0000 0.2392
Mo2 Mo 0.6667 0.3333 0.0513
Mo3 Mo 0.6667 0.3333 0.4271
W1 W 0.0000 0.0000 0.6150
Se1 Se 0.0000 0.0000 0.3821
Se2 Se 0.0000 0.0000 0.4721
S1 S 0.6667 0.3333 0.1982
S2 S 0.6667 0.3333 0.2802
S3 S 0.6667 0.3333 0.5738
S4 S 0.6667 0.3333 0.6561
# excess energy over the best structure of this formula in the dataset: 0.8 meV per atom
# E_tot: -82.58 eV for the cell shown
# formation energy: -0.773 eV per atom

[5]
# Te2Mo3WSe2S4, optimized geometry, DFT PBE
data_Te2Mo3WSe2S4
_space_group_name_H-M_alt 'P 3 m 1'
_space_group_IT_number 156
_cell_length_a 3.3052
_cell_length_b 3.3052
_cell_length_c 38.9855
_cell_angle_alpha 90.00
_cell_angle_beta 90.00
_cell_angle_gamma 120.00
loop_
_space_group_symop_operation_xyz
'x,y,z'
'-y,x-y,z'
'-x+y,-x,z'
'-y,-x,z'
'-x+y,y,z'
'x,x-y,z'
loop_
_atom_site_label
_atom_site_type_symbol
_atom_site_fract_x
_atom_site_fract_y
_atom_site_fract_z
Te1 Te 0.0000 0.0000 0.0000
Te2 Te 0.0000 0.0000 0.0980
Mo1 Mo 0.0000 0.0000 0.2366
Mo2 Mo 0.0000 0.0000 0.8594
Mo3 Mo 0.3333 0.6667 0.0490
W1 W 0.3333 0.6667 0.4241
Se1 Se 0.3333 0.6667 0.8164
Se2 Se 0.3333 0.6667 0.9025
S1 S 0.0000 0.0000 0.3847
S2 S 0.0000 0.0000 0.4634
S3 S 0.3333 0.6667 0.1974
S4 S 0.3333 0.6667 0.2757
# excess energy over the best structure of this formula in the dataset: 0.1 meV per atom
# E_tot: -82.59 eV for the cell shown
# formation energy: -0.773 eV per atom

[6]
# Te2Mo3WSe2S4, optimized geometry, DFT PBE
data_Te2Mo3WSe2S4
_space_group_name_H-M_alt 'P 3 m 1'
_space_group_IT_number 156
_cell_length_a 3.3055
_cell_length_b 3.3055
_cell_length_c 37.6491
_cell_angle_alpha 90.00
_cell_angle_beta 90.00
_cell_angle_gamma 120.00
loop_
_space_group_symop_operation_xyz
'x,y,z'
'-y,x-y,z'
'-x+y,-x,z'
'-y,-x,z'
'-x+y,y,z'
'x,x-y,z'
loop_
_atom_site_label
_atom_site_type_symbol
_atom_site_fract_x
_atom_site_fract_y
_atom_site_fract_z
Te1 Te 0.0000 0.0000 0.0000
Te2 Te 0.0000 0.0000 0.1017
Mo1 Mo 0.0000 0.0000 0.8630
Mo2 Mo 0.6667 0.3333 0.0508
Mo3 Mo 0.6667 0.3333 0.6751
W1 W 0.0000 0.0000 0.2388
Se1 Se 0.0000 0.0000 0.6304
Se2 Se 0.0000 0.0000 0.7198
S1 S 0.6667 0.3333 0.1980
S2 S 0.6667 0.3333 0.2795
S3 S 0.6667 0.3333 0.8224
S4 S 0.6667 0.3333 0.9035
# excess energy over the best structure of this formula in the dataset: 0.7 meV per atom
# E_tot: -82.58 eV for the cell shown
# formation energy: -0.773 eV per atom

[7]
# Te2MoWSeS, optimized geometry, DFT PBE
data_Te2MoWSeS
_space_group_name_H-M_alt 'P 3 m 1'
_space_group_IT_number 156
_cell_length_a 3.3996
_cell_length_b 3.3996
_cell_length_c 38.7224
_cell_angle_alpha 90.00
_cell_angle_beta 90.00
_cell_angle_gamma 120.00
loop_
_space_group_symop_operation_xyz
'x,y,z'
'-y,x-y,z'
'-x+y,-x,z'
'-y,-x,z'
'-x+y,y,z'
'x,x-y,z'
loop_
_atom_site_label
_atom_site_type_symbol
_atom_site_fract_x
_atom_site_fract_y
_atom_site_fract_z
Te1 Te 0.0000 0.0000 0.0000
Te2 Te 0.0000 0.0000 0.0973
Te3 Te 0.3333 0.6667 0.4366
Te4 Te 0.3333 0.6667 0.5334
Mo1 Mo 0.0000 0.0000 0.4850
Mo2 Mo 0.3333 0.6667 0.6729
W1 W 0.0000 0.0000 0.8608
W2 W 0.3333 0.6667 0.0487
Se1 Se 0.3333 0.6667 0.8180
Se2 Se 0.3333 0.6667 0.9035
S1 S 0.0000 0.0000 0.6342
S2 S 0.0000 0.0000 0.7116
# excess energy over the best structure of this formula in the dataset: 35.5 meV per atom
# E_tot: -80.10 eV for the cell shown
# formation energy: -0.472 eV per atom

[8]
# Te2Mo3WSe4S2, optimized geometry, DFT PBE
data_Te2Mo3WSe4S2
_space_group_name_H-M_alt 'P 3 m 1'
_space_group_IT_number 156
_cell_length_a 3.3428
_cell_length_b 3.3428
_cell_length_c 38.0126
_cell_angle_alpha 90.00
_cell_angle_beta 90.00
_cell_angle_gamma 120.00
loop_
_space_group_symop_operation_xyz
'x,y,z'
'-y,x-y,z'
'-x+y,-x,z'
'-y,-x,z'
'-x+y,y,z'
'x,x-y,z'
loop_
_atom_site_label
_atom_site_type_symbol
_atom_site_fract_x
_atom_site_fract_y
_atom_site_fract_z
Te1 Te 0.0000 0.0000 0.0000
Te2 Te 0.0000 0.0000 0.0997
Mo1 Mo 0.0000 0.0000 0.4862
Mo2 Mo 0.3333 0.6667 0.0499
Mo3 Mo 0.3333 0.6667 0.6742
W1 W 0.0000 0.0000 0.8620
Se1 Se 0.0000 0.0000 0.6303
Se2 Se 0.0000 0.0000 0.7180
Se3 Se 0.3333 0.6667 0.4424
Se4 Se 0.3333 0.6667 0.5301
S1 S 0.3333 0.6667 0.8219
S2 S 0.3333 0.6667 0.9021
# excess energy over the best structure of this formula in the dataset: 0.0 meV per atom
# E_tot: -80.86 eV for the cell shown
# formation energy: -0.653 eV per atom

no.,volume (Å³ per cell)
1,355.6
2,356.7
3,369.3
4,353.7
5,368.8
6,356.2
7,387.6
8,367.9